Compound: TiFe4O8
Source: Materials Project
Functional: GGA+U
Structure: relaxed

The total energy is -7.045 eV per atom. Its crystal system is monoclinic. As for the MP2020-corrected energy: -106.11 eV/cell. The calculation puts the formation energy at -24.8 eV per formula unit.

Unit cell a=5.8216 b=5.8216 c=5.7889 alpha=61.09 beta=61.09 gamma=60.79
Element x y z (fractional)
O: 0.2582 0.2582 0.7316
Fe: 0.1161 0.1161 0.1453
Fe: 0.8839 0.8839 0.8547
O: 0.2423 0.2423 0.2922
Fe: 0.5000 0.0000 0.5000
O: 0.7548 0.2777 0.7188
Ti: 0.5000 0.5000 0.5000
O: 0.7577 0.7577 0.7078
O: 0.2777 0.7548 0.7188
O: 0.7418 0.7418 0.2684
O: 0.7223 0.2452 0.2812
O: 0.2452 0.7223 0.2812
Fe: 0.0000 0.5000 0.5000